A plane-wave DFT calculation with GGA-PBE was carried out for crystalline KU2P3O14 at its relaxed geometry.

Summary:
**Energy**: -8.07 eV/atom
**Total magnetization**: 0.000 μB per formula unit

a b c (Å): 10.791 10.446 11.300
angles (deg): 90.00 90.00 90.00
Space group Pbcn (No. 60)
Inequivalent atoms, fractional coordinates:
K 0.000 0.110 0.250 x4
U 0.194 0.176 0.595 x8
P 0.000 0.420 0.750 x4
P 0.186 0.428 0.382 x8
O 0.042 0.102 0.591 x8
O 0.049 0.485 0.349 x8
O 0.107 0.346 0.698 x8
O 0.154 0.251 0.107 x8
O 0.155 0.291 0.423 x8
O 0.232 0.068 0.771 x8
O 0.235 0.486 0.980 x8

=====

A plane-wave DFT calculation with GGA-PBE was carried out for crystalline KUP3O11 at its relaxed geometry.

Summary:
**Energy**: -7.63 eV/atom
**Total magnetization**: 0.027 μB per formula unit

a b c (Å): 8.600 15.358 15.055
angles (deg): 90.00 91.88 90.00
Space group P2_1/m (No. 11)
Inequivalent atoms, fractional coordinates:
K 0.115 0.250 0.188 x2
K 0.188 0.750 0.323 x2
K 0.321 0.250 0.726 x2
K 0.340 0.750 0.763 x2
U 0.087 0.006 0.741 x4
U 0.149 0.750 0.036 x2
U 0.408 0.250 0.449 x2
P 0.018 0.750 0.552 x2
P 0.196 0.107 0.964 x4
P 0.241 0.605 0.542 x4
P 0.258 0.519 0.111 x4
P 0.287 0.027 0.398 x4
P 0.423 0.250 0.981 x2
P 0.477 0.557 0.257 x4
O 0.042 0.118 0.710 x4
O 0.047 0.750 0.649 x2
O 0.071 0.159 0.008 x4
O 0.086 0.750 0.149 x2
O 0.104 0.668 0.503 x4
O 0.129 0.035 0.353 x4
O 0.137 0.013 0.173 x4
O 0.138 0.605 0.773 x4
O 0.146 0.250 0.489 x2
O 0.151 0.049 0.888 x4
O 0.176 0.534 0.597 x4
O 0.190 0.750 0.919 x2
O 0.231 0.604 0.064 x4
O 0.294 0.054 0.038 x4
O 0.300 0.565 0.450 x4
O 0.331 0.170 0.929 x4
O 0.337 0.100 0.458 x4
O 0.348 0.052 0.740 x4
O 0.360 0.250 0.330 x2
O 0.369 0.661 0.582 x4
O 0.401 0.250 0.078 x2
O 0.403 0.643 0.270 x4
O 0.419 0.016 0.326 x4
O 0.420 0.750 0.059 x2
O 0.426 0.515 0.161 x4
O 0.465 0.250 0.566 x2

=====

A plane-wave DFT calculation with GGA-PBE was carried out for crystalline KUP3O11 at its relaxed geometry.

Summary:
**Energy**: -7.64 eV/atom
**Total magnetization**: 0.001 μB per formula unit

a b c (Å): 15.093 8.702 20.236
angles (deg): 90.00 131.59 90.00
Space group P2_1/c (No. 14)
Inequivalent atoms, fractional coordinates:
K 0.001 0.153 0.225 x4
K 0.460 0.090 0.720 x4
U 0.228 0.111 0.985 x4
U 0.260 0.669 0.241 x4
P 0.118 0.747 0.509 x4
P 0.140 0.200 0.607 x4
P 0.222 0.535 0.960 x4
P 0.300 0.101 0.261 x4
P 0.358 0.728 0.461 x4
P 0.377 0.177 0.897 x4
O 0.005 0.160 0.560 x4
O 0.104 0.146 0.869 x4
O 0.108 0.598 0.466 x4
O 0.118 0.555 0.864 x4
O 0.125 0.657 0.222 x4
O 0.144 0.211 0.045 x4
O 0.150 0.737 0.597 x4
O 0.175 0.191 0.186 x4
O 0.209 0.052 0.646 x4
O 0.210 0.639 0.021 x4
O 0.261 0.121 0.504 x4
O 0.265 0.565 0.751 x4
O 0.266 0.620 0.443 x4
O 0.323 0.057 0.826 x4
O 0.328 0.157 0.351 x4
O 0.342 0.607 0.988 x4
O 0.354 0.062 0.098 x4
O 0.362 0.167 0.963 x4
O 0.366 0.745 0.391 x4
O 0.394 0.677 0.258 x4
O 0.395 0.149 0.262 x4
O 0.484 0.679 0.554 x4

=====

A plane-wave DFT calculation with GGA-PBE was carried out for crystalline K4UP2O10 at its relaxed geometry.

Summary:
**Energy**: -6.98 eV/atom
**Total magnetization**: 0.000 μB per formula unit

a b c (Å): 6.957 6.957 12.082
angles (deg): 90.00 90.00 90.00
Space group P4_2/nmc (No. 137, origin choice 2)
Inequivalent atoms, fractional coordinates:
K 0.001 0.250 0.079 x8
U 0.250 0.750 0.250 x2
P 0.250 0.250 0.333 x4
O 0.066 0.250 0.403 x8
O 0.074 0.250 0.749 x8
O 0.250 0.750 0.097 x4

=====

A plane-wave DFT calculation with GGA-PBE was carried out for crystalline KYP2O7 at its relaxed geometry.

Summary:
**Energy**: -7.52 eV/atom
**Offset from the most stable computed form**: 0.000 eV/atom
**Total magnetization**: 0.000 μB per formula unit

a b c (Å): 7.701 11.081 8.716
angles (deg): 90.00 106.95 90.00
Space group P2_1/c (No. 14)
Inequivalent atoms, fractional coordinates:
K 0.181 0.178 0.071 x4
Y 0.231 0.595 0.249 x4
P 0.129 0.603 0.808 x4
P 0.445 0.643 0.690 x4
O 0.013 0.502 0.708 x4
O 0.068 0.728 0.735 x4
O 0.133 0.596 0.983 x4
O 0.336 0.579 0.804 x4
O 0.339 0.613 0.518 x4
O 0.366 0.086 0.757 x4
O 0.457 0.722 0.230 x4

=====

| no. | E_form (eV/atom) | calculated density (g cm⁻³) |
| --- | --- | --- |
| 1 | -3.088 | 4.34 |
| 2 | -2.915 | 3.65 |
| 3 | -2.916 | 3.65 |
| 4 | -2.916 | 3.50 |
| 5 | -3.133 | 2.82 |